No. 1
! Ti2Ga3 PBE-GGA relaxed; values from VASP
&SYSTEM
  ibrav = 0, nat = 10, ntyp = 2
/
ATOMIC_SPECIES
Ti 47.87 Ti.upf
Ga 69.72 Ga.upf
CELL_PARAMETERS angstrom
6.293 0.000 0.000
0.000 6.293 0.000
0.000 0.000 4.006
ATOMIC_POSITIONS crystal
Ti 0.873 0.696 0.500
Ti 0.304 0.873 0.500
Ti 0.696 0.127 0.500
Ti 0.127 0.304 0.500
Ga 0.604 0.817 0.000
Ga 0.396 0.183 0.000
Ga 0.500 0.500 0.500
Ga 0.817 0.396 0.000
Ga 0.183 0.604 0.000
Ga 0.000 0.000 0.000
! ΔH_f (0 K): -0.46 eV per atom


No. 2
! RbPdBr3 PBE-GGA relaxed; values from VASP
&SYSTEM
  ibrav = 0, nat = 5, ntyp = 3
/
ATOMIC_SPECIES
Br 79.90 Br.upf
Pd 106.42 Pd.upf
Rb 85.47 Rb.upf
CELL_PARAMETERS angstrom
5.296 0.000 0.000
0.000 5.289 0.000
0.000 0.004 5.292
ATOMIC_POSITIONS crystal
Br 0.500 0.985 0.499
Br 0.500 0.489 0.004
Br 0.000 0.487 0.504
Pd 0.500 0.485 0.504
Rb 0.000 0.994 0.999
! ΔH_f (0 K): -1.22 eV per atom
! Corrected total energy (MP2020 scheme): -17.18 eV/cell


No. 3
! LiMg9B20 PBE-GGA relaxed; values from VASP
&SYSTEM
  ibrav = 0, nat = 30, ntyp = 3
/
ATOMIC_SPECIES
B 10.81 B.upf
Mg 24.30 Mg.upf
Li 6.94 Li.upf
CELL_PARAMETERS angstrom
-0.953 2.450 -5.549
-5.071 -4.340 2.348
-1.734 5.894 4.577
ATOMIC_POSITIONS crystal
B 0.165 0.565 0.533
B 0.835 0.234 0.867
B 0.835 0.635 0.068
B 0.335 0.835 0.667
B 0.835 0.034 0.267
B 0.165 0.966 0.733
B 0.835 0.835 0.668
B 0.667 0.766 0.133
B 0.666 0.566 0.533
B 0.334 0.634 0.067
B 0.165 0.365 0.932
B 0.665 0.165 0.333
B 0.334 0.434 0.467
B 0.835 0.435 0.467
B 0.667 0.966 0.734
B 0.333 0.034 0.266
B 0.666 0.366 0.933
B 0.165 0.766 0.133
B 0.333 0.234 0.867
B 0.165 0.165 0.332
Mg 0.500 0.200 0.600
Mg 0.000 0.200 0.602
Mg 0.496 0.397 0.198
Mg 0.500 0.800 0.400
Mg 0.000 0.800 0.398
Mg 0.000 0.397 0.198
Mg 0.504 0.603 0.802
Mg 0.000 0.603 0.802
Mg 0.500 0.000 0.000
Li 0.000 0.000 0.000
! ΔH_f (0 K): -0.12 eV per atom


No. 4
! NaMnBi PBE-GGA relaxed; values from VASP
&SYSTEM
  ibrav = 0, nat = 6, ntyp = 3
/
ATOMIC_SPECIES
Bi 208.98 Bi.upf
Na 22.99 Na.upf
Mn 54.94 Mn.upf
CELL_PARAMETERS angstrom
-2.608 2.527 2.700
-0.707 -3.584 2.671
6.245 1.923 4.233
ATOMIC_POSITIONS crystal
Bi 0.000 0.500 0.225
Bi 0.500 0.000 0.775
Na 0.500 0.000 0.348
Na 0.000 0.500 0.652
Mn 0.500 0.500 0.000
Mn 0.000 0.000 0.000
! ΔH_f (0 K): 0.02 eV per atom


No. 5
! Sr4SeS3 PBE-GGA relaxed; values from VASP
&SYSTEM
  ibrav = 0, nat = 8, ntyp = 3
/
ATOMIC_SPECIES
Sr 87.62 Sr.upf
Se 78.96 Se.upf
S 32.06 S.upf
CELL_PARAMETERS angstrom
-5.405 0.536 5.184
-3.958 -3.547 5.303
4.187 1.659 6.011
ATOMIC_POSITIONS crystal
Sr 0.872 0.872 0.371
Sr 0.374 0.374 0.880
Sr 0.626 0.626 0.120
Sr 0.128 0.128 0.629
Se 0.500 0.500 0.500
S 0.249 0.249 0.250
S 0.000 0.000 0.000
S 0.751 0.751 0.750
! ΔH_f (0 K): -2.31 eV per atom
! Corrected total energy (MP2020 scheme): -41.11 eV/cell


No. 6
! Ce3Si4Ni4 PBE-GGA relaxed; values from VASP
&SYSTEM
  ibrav = 0, nat = 11, ntyp = 3
/
ATOMIC_SPECIES
Ce 140.12 Ce.upf
Ni 58.69 Ni.upf
Si 28.09 Si.upf
CELL_PARAMETERS angstrom
-7.827 1.426 9.139
-6.567 6.752 7.623
5.029 -4.150 -10.214
ATOMIC_POSITIONS crystal
Ce 0.649 0.149 0.500
Ce 0.351 0.851 0.500
Ce 0.000 0.000 0.000
Ni 0.903 0.403 0.500
Ni 0.250 0.250 0.000
Ni 0.097 0.597 0.500
Ni 0.750 0.750 0.000
Si 0.449 0.449 0.000
Si 0.802 0.302 0.500
Si 0.551 0.551 0.000
Si 0.198 0.698 0.500
! ΔH_f (0 K): -0.78 eV per atom


No. 7
! Rb2PO3F PBE-GGA relaxed; values from VASP
&SYSTEM
  ibrav = 0, nat = 28, ntyp = 4
/
ATOMIC_SPECIES
F 19.00 F.upf
Rb 85.47 Rb.upf
O 16.00 O.upf
P 30.97 P.upf
CELL_PARAMETERS angstrom
6.236 0.000 0.000
0.000 8.066 0.000
0.000 0.000 10.694
ATOMIC_POSITIONS crystal
F 0.750 0.964 0.437
F 0.250 0.536 0.937
F 0.250 0.036 0.563
F 0.750 0.464 0.063
Rb 0.250 0.176 0.923
Rb 0.750 0.824 0.077
Rb 0.250 0.676 0.577
Rb 0.250 0.507 0.218
Rb 0.750 0.493 0.782
Rb 0.750 0.993 0.718
Rb 0.750 0.324 0.423
Rb 0.250 0.007 0.282
O 0.956 0.230 0.159
O 0.250 0.312 0.453
O 0.044 0.270 0.659
O 0.750 0.188 0.953
O 0.956 0.730 0.341
O 0.544 0.230 0.159
O 0.456 0.770 0.841
O 0.456 0.270 0.659
O 0.750 0.688 0.547
O 0.044 0.770 0.841
O 0.544 0.730 0.341
O 0.250 0.812 0.047
P 0.750 0.758 0.414
P 0.750 0.258 0.086
P 0.250 0.742 0.914
P 0.250 0.242 0.586
! ΔH_f (0 K): -2.76 eV per atom
! Corrected total energy (MP2020 scheme): -173.74 eV/cell


No. 8
! K2ScAgF6 PBE-GGA relaxed; values from VASP
&SYSTEM
  ibrav = 0, nat = 10, ntyp = 4
/
ATOMIC_SPECIES
F 19.00 F.upf
Sc 44.96 Sc.upf
K 39.10 K.upf
Ag 107.87 Ag.upf
CELL_PARAMETERS angstrom
0.000 4.451 4.451
4.451 0.000 4.451
4.451 4.451 0.000
ATOMIC_POSITIONS crystal
F 0.228 0.228 0.772
F 0.228 0.772 0.228
F 0.772 0.228 0.228
F 0.228 0.772 0.772
F 0.772 0.228 0.772
F 0.772 0.772 0.228
Sc 0.000 0.000 0.000
K 0.250 0.250 0.250
K 0.750 0.750 0.750
Ag 0.500 0.500 0.500
! ΔH_f (0 K): -3.18 eV per atom
! Corrected total energy (MP2020 scheme): -54.64 eV/cell


No. 9
! Sc2Al3Ru PBE-GGA relaxed; values from VASP
&SYSTEM
  ibrav = 0, nat = 12, ntyp = 3
/
ATOMIC_SPECIES
Al 26.98 Al.upf
Ru 101.07 Ru.upf
Sc 44.96 Sc.upf
CELL_PARAMETERS angstrom
2.651 -4.592 0.000
2.651 4.592 0.000
0.000 0.000 8.552
ATOMIC_POSITIONS crystal
Al 0.165 0.330 0.750
Al 0.330 0.165 0.250
Al 0.165 0.835 0.750
Al 0.670 0.835 0.750
Al 0.835 0.165 0.250
Al 0.835 0.670 0.250
Ru 0.000 0.000 0.000
Ru 0.000 0.000 0.500
Sc 0.333 0.667 0.055
Sc 0.667 0.333 0.555
Sc 0.333 0.667 0.445
Sc 0.667 0.333 0.945
! ΔH_f (0 K): -0.65 eV per atom


No. 10
! Na4Nb3GaSi5SO24 PBE-GGA relaxed; values from VASP
&SYSTEM
  ibrav = 0, nat = 114, ntyp = 6
/
ATOMIC_SPECIES
S 32.06 S.upf
O 16.00 O.upf
Na 22.99 Na.upf
Si 28.09 Si.upf
Nb 92.91 Nb.upf
Ga 69.72 Ga.upf
CELL_PARAMETERS angstrom
-4.195 -0.857 7.864
-4.637 -0.820 -7.598
4.414 -22.213 -0.464
ATOMIC_POSITIONS crystal
S 0.293 0.004 0.252
S 0.956 0.335 0.584
S 0.713 0.710 0.251
O 0.506 0.145 0.923
O 0.493 0.864 0.358
O 0.136 0.497 0.858
O 0.307 0.834 0.973
O 0.135 0.634 0.359
O 0.472 0.301 0.027
O 0.963 0.800 0.806
O 0.356 0.498 0.078
O 0.023 0.195 0.192
O 0.513 0.375 0.144
O 0.881 0.499 0.141
O 0.854 0.361 0.923
O 0.830 0.515 0.743
O 0.501 0.358 0.423
O 0.194 0.162 0.806
O 0.171 0.481 0.256
O 0.212 0.021 0.305
O 0.478 0.308 0.747
O 0.820 0.793 0.303
O 0.027 0.188 0.910
O 0.033 0.844 0.405
O 0.189 0.165 0.092
O 0.462 0.157 0.244
O 0.494 0.124 0.645
O 0.539 0.700 0.254
O 0.835 0.034 0.806
O 0.363 0.501 0.359
O 0.352 0.851 0.576
O 0.695 0.176 0.743
O 0.172 0.693 0.755
O 0.813 0.839 0.910
O 0.638 0.510 0.646
O 0.635 0.143 0.425
O 0.521 0.830 0.756
O 0.503 0.847 0.077
O 0.533 0.693 0.976
O 0.835 0.021 0.093
O 0.159 0.198 0.693
O 0.882 0.360 0.639
O 0.038 0.836 0.693
O 0.474 0.165 0.526
O 0.640 0.494 0.922
O 0.505 0.640 0.858
O 0.694 0.525 0.528
O 0.626 0.124 0.143
O 0.306 0.479 0.756
O 0.794 0.816 0.196
O 0.970 0.812 0.093
O 0.822 0.313 0.244
O 0.835 0.814 0.590
O 0.189 0.031 0.590
O 0.812 0.969 0.413
O 0.303 0.473 0.474
O 0.493 0.640 0.577
O 0.847 0.310 0.531
O 0.307 0.843 0.253
O 0.360 0.866 0.857
O 0.171 0.180 0.411
O 0.708 0.171 0.028
O 0.530 0.836 0.473
O 0.972 0.167 0.307
O 0.162 0.467 0.976
O 0.830 0.536 0.027
O 0.972 0.176 0.588
O 0.146 0.641 0.076
O 0.130 0.489 0.578
O 0.169 0.703 0.472
O 0.803 0.964 0.692
O 0.178 0.976 0.198
O 0.855 0.494 0.425
O 0.689 0.536 0.245
O 0.161 0.973 0.910
Na 0.667 0.333 0.834
Na 0.331 0.672 0.168
Na 0.992 0.363 0.748
Na 0.326 0.029 0.416
Na 0.028 0.338 0.084
Na 0.338 0.670 0.663
Na 0.663 0.691 0.084
Na 0.374 0.007 0.747
Na 0.007 0.997 0.996
Na 0.682 0.338 0.328
Na 0.992 0.996 0.496
Na 0.635 0.627 0.746
Si 0.629 0.958 0.414
Si 0.288 0.287 0.750
Si 0.042 0.376 0.917
Si 0.334 0.959 0.916
Si 0.711 0.004 0.747
Si 0.382 0.048 0.585
Si 0.389 0.332 0.087
Si 0.660 0.046 0.086
Si 0.989 0.288 0.252
Si 0.039 0.669 0.416
Si 0.995 0.705 0.750
Si 0.664 0.618 0.586
Si 0.324 0.375 0.418
Si 0.626 0.668 0.918
Si 0.956 0.622 0.085
Nb 0.998 0.000 0.855
Nb 0.334 0.667 0.814
Nb 0.662 0.341 0.477
Nb 0.333 0.669 0.020
Nb 0.002 0.992 0.644
Nb 0.321 0.655 0.315
Nb 0.666 0.334 0.978
Nb 0.008 0.012 0.145
Nb 0.346 0.680 0.519
Ga 0.684 0.332 0.180
Ga 0.650 0.328 0.687
Ga 0.989 0.012 0.359
! ΔH_f (0 K): -2.80 eV per atom
! Corrected total energy (MP2020 scheme): -885.40 eV/cell


No. 11
! DyCd6 PBE-GGA relaxed; values from VASP
&SYSTEM
  ibrav = 0, nat = 84, ntyp = 2
/
ATOMIC_SPECIES
Cd 112.41 Cd.upf
Dy 162.50 Dy.upf
CELL_PARAMETERS angstrom
-1.147 -10.062 9.181
-5.758 11.269 5.168
-6.266 -3.616 -11.597
ATOMIC_POSITIONS crystal
Cd 0.536 0.455 0.677
Cd 0.677 0.998 0.998
Cd 0.905 0.759 0.663
Cd 0.189 0.500 0.689
Cd 0.596 0.943 0.347
Cd 0.779 0.455 0.919
Cd 0.323 0.002 0.002
Cd 0.779 0.860 0.323
Cd 0.000 0.002 0.679
Cd 0.085 0.994 0.909
Cd 0.692 0.192 0.500
Cd 0.095 0.759 0.854
Cd 0.323 0.321 0.321
Cd 0.081 0.541 0.859
Cd 0.654 0.596 0.250
Cd 0.675 0.909 0.765
Cd 0.589 0.589 0.000
Cd 0.411 0.411 0.000
Cd 0.654 0.404 0.059
Cd 0.319 0.778 0.859
Cd 0.221 0.545 0.081
Cd 0.346 0.596 0.941
Cd 0.595 0.000 0.595
Cd 0.000 0.596 0.596
Cd 0.095 0.241 0.337
Cd 0.681 0.541 0.460
Cd 0.464 0.545 0.323
Cd 0.346 0.404 0.750
Cd 0.308 0.808 0.500
Cd 0.753 0.347 0.405
Cd 0.677 0.679 0.679
Cd 0.000 0.404 0.404
Cd 0.681 0.222 0.141
Cd 0.536 0.860 0.081
Cd 0.247 0.653 0.595
Cd 0.596 0.249 0.653
Cd 0.319 0.459 0.540
Cd 0.919 0.778 0.460
Cd 0.459 0.916 0.777
Cd 0.860 0.318 0.777
Cd 0.905 0.241 0.146
Cd 0.000 0.998 0.321
Cd 0.541 0.084 0.223
Cd 0.811 0.500 0.311
Cd 0.000 0.321 0.998
Cd 0.404 0.751 0.347
Cd 0.860 0.084 0.542
Cd 0.742 0.836 0.094
Cd 0.915 0.824 0.909
Cd 0.085 0.176 0.091
Cd 0.058 0.653 0.405
Cd 0.000 0.679 0.002
Cd 0.856 0.091 0.765
Cd 0.258 0.353 0.094
Cd 0.221 0.140 0.677
Cd 0.325 0.091 0.235
Cd 0.500 0.691 0.191
Cd 0.140 0.682 0.223
Cd 0.541 0.318 0.458
Cd 0.742 0.647 0.906
Cd 0.942 0.347 0.595
Cd 0.404 0.057 0.653
Cd 0.140 0.916 0.458
Cd 0.919 0.459 0.141
Cd 0.459 0.682 0.542
Cd 0.405 0.000 0.405
Cd 0.500 0.309 0.809
Cd 0.258 0.164 0.906
Cd 0.915 0.006 0.091
Cd 0.144 0.909 0.235
Cd 0.081 0.222 0.540
Cd 0.464 0.140 0.919
Dy 0.807 0.105 0.298
Dy 0.807 0.510 0.702
Dy 0.301 0.190 0.491
Dy 0.505 0.698 0.807
Dy 0.301 0.810 0.111
Dy 0.699 0.810 0.509
Dy 0.193 0.895 0.702
Dy 0.892 0.698 0.193
Dy 0.108 0.302 0.807
Dy 0.193 0.490 0.298
Dy 0.495 0.302 0.193
Dy 0.699 0.190 0.889
! ΔH_f (0 K): -0.17 eV per atom


| no. | density (g cm⁻³) |
| --- | --- |
| 1 | 6.38 |
| 2 | 4.83 |
| 3 | 2.56 |
| 4 | 5.98 |
| 5 | 3.79 |
| 6 | 6.71 |
| 7 | 3.32 |
| 8 | 3.25 |
| 9 | 4.34 |
| 10 | 3.15 |
| 11 | 8.48 |